Run a
# PBE with a Hubbard U LiVF4, relaxed
data_LiVF4
_cell_length_a 4.6141
_cell_length_b 5.1854
_cell_length_c 11.8766
_cell_angle_alpha 90.00
_cell_angle_beta 90.00
_cell_angle_gamma 90.00
_symmetry_space_group_name_H-M 'P 1'
_symmetry_Int_Tables_number 1
loop_
_symmetry_equiv_pos_as_xyz
'x,y,z'
loop_
_atom_site_label
_atom_site_fract_x
_atom_site_fract_y
_atom_site_fract_z
Li1 0.0000 0.7500 0.3210
Li2 0.0000 0.2500 0.6790
Li3 0.5000 0.2500 0.1790
Li4 0.5000 0.7500 0.8210
V1 0.0000 0.7500 0.0711
V2 0.0000 0.2500 0.9289
V3 0.5000 0.2500 0.4289
V4 0.5000 0.7500 0.5711
F1 0.2287 0.0868 0.0538
F2 0.2287 0.5868 0.9462
F3 0.2314 0.0900 0.8166
F4 0.2314 0.5900 0.1834
F5 0.2686 0.0900 0.3166
F6 0.2686 0.5900 0.6834
F7 0.2713 0.0868 0.5538
F8 0.2713 0.5868 0.4462
F9 0.7287 0.9132 0.4462
F10 0.7287 0.4132 0.5538
F11 0.7314 0.9100 0.6834
F12 0.7314 0.4100 0.3166
F13 0.7686 0.9100 0.1834
F14 0.7686 0.4100 0.8166
F15 0.7713 0.9132 0.9462
F16 0.7713 0.4132 0.0538
# Crystal system ... orthorhombic

Run b
# PBE with a Hubbard U LiVF4, relaxed
data_LiVF4
_cell_length_a 5.3637
_cell_length_b 5.3637
_cell_length_c 6.1873
_cell_angle_alpha 90.00
_cell_angle_beta 90.00
_cell_angle_gamma 98.99
_symmetry_space_group_name_H-M 'P 1'
_symmetry_Int_Tables_number 1
loop_
_symmetry_equiv_pos_as_xyz
'x,y,z'
loop_
_atom_site_label
_atom_site_fract_x
_atom_site_fract_y
_atom_site_fract_z
Li1 0.3477 0.6523 0.2500
Li2 0.6523 0.3477 0.7500
V1 0.9789 0.0211 0.2500
V2 0.0211 0.9789 0.7500
F1 0.2270 0.3146 0.2500
F2 0.3146 0.2270 0.7500
F3 0.8394 0.1606 0.5299
F4 0.8394 0.1606 0.9701
F5 0.1606 0.8394 0.4701
F6 0.1606 0.8394 0.0299
F7 0.6854 0.7730 0.2500
F8 0.7730 0.6854 0.7500
# Crystal system ... orthorhombic

Most stable one: run a, least stable one: run b.

Run a
# PBE with a Hubbard U Li3Cr4P6O24, relaxed
data_Li3Cr4P6O24
_cell_length_a 8.5497
_cell_length_b 8.6431
_cell_length_c 8.5894
_cell_angle_alpha 60.77
_cell_angle_beta 59.97
_cell_angle_gamma 89.77
_symmetry_space_group_name_H-M 'P 1'
_symmetry_Int_Tables_number 1
loop_
_symmetry_equiv_pos_as_xyz
'x,y,z'
loop_
_atom_site_label
_atom_site_fract_x
_atom_site_fract_y
_atom_site_fract_z
Li1 0.3503 0.5580 0.6196
Li2 0.0304 0.0546 0.6138
Li3 0.7413 0.3393 0.3658
Cr1 0.8489 0.5752 0.7892
Cr2 0.3550 0.0733 0.7959
Cr3 0.6460 0.9292 0.2015
Cr4 0.1538 0.4323 0.2011
P1 0.5286 0.7418 0.7201
P2 0.2493 0.7598 0.2787
P3 0.7529 0.2432 0.7210
P4 0.0356 0.2526 0.0001
P5 0.4754 0.2568 0.2775
P6 0.9577 0.7526 0.9997
O1 0.1194 0.9328 0.8706
O2 0.0107 0.4411 0.8643
O3 0.4849 0.8964 0.7580
O4 0.0619 0.7132 0.4837
O5 0.3693 0.5509 0.9019
O6 0.2323 0.2647 0.8217
O7 0.2880 0.9526 0.0873
O8 0.5487 0.7783 0.5156
O9 0.7228 0.7346 0.6926
O10 0.9448 0.7647 0.8191
O11 0.4076 0.7589 0.3207
O12 0.2489 0.6111 0.2302
O13 0.7582 0.3942 0.7643
O14 0.0419 0.2488 0.1784
O15 0.5968 0.2436 0.6793
O16 0.2771 0.2567 0.3222
O17 0.7264 0.0499 0.9035
O18 0.4731 0.2183 0.4748
O19 0.7663 0.7490 0.1745
O20 0.6346 0.4481 0.0891
O21 0.9393 0.2795 0.5162
O22 0.5205 0.1019 0.2387
O23 0.9826 0.5674 0.1330
O24 0.8764 0.0772 0.1162
# Crystal system ... triclinic

Run b
# PBE with a Hubbard U Li3Cr4P6O24, relaxed
data_Li3Cr4P6O24
_cell_length_a 8.3568
_cell_length_b 8.6356
_cell_length_c 11.9181
_cell_angle_alpha 90.12
_cell_angle_beta 90.16
_cell_angle_gamma 90.11
_symmetry_space_group_name_H-M 'P 1'
_symmetry_Int_Tables_number 1
loop_
_symmetry_equiv_pos_as_xyz
'x,y,z'
loop_
_atom_site_label
_atom_site_fract_x
_atom_site_fract_y
_atom_site_fract_z
Li1 0.8075 0.2137 0.8219
Li2 0.6808 0.7150 0.6807
Li3 0.5727 0.4053 0.1948
Li4 0.1812 0.7888 0.1787
Li5 0.0815 0.0902 0.6908
Li6 0.0808 0.4998 0.3422
Cr1 0.7466 0.9740 0.1146
Cr2 0.7509 0.5350 0.8867
Cr3 0.7483 0.4731 0.3911
Cr4 0.7435 0.0332 0.6128
Cr5 0.2526 0.9694 0.3853
Cr6 0.2447 0.5274 0.6132
Cr7 0.2465 0.4657 0.1129
Cr8 0.2574 0.0240 0.8902
P1 0.9672 0.7512 0.5079
P2 0.8870 0.6185 0.1471
P3 0.8875 0.8917 0.8580
P4 0.6075 0.1155 0.3509
P5 0.6111 0.3910 0.6451
P6 0.5344 0.2489 0.9916
P7 0.4652 0.7501 0.0082
P8 0.3881 0.6115 0.3568
P9 0.3901 0.8814 0.6457
P10 0.1134 0.1115 0.1449
P11 0.1100 0.3829 0.8502
P12 0.0380 0.2482 0.4914
O1 0.9424 0.1279 0.5598
O2 0.9351 0.1069 0.1070
O3 0.9427 0.3312 0.3984
O4 0.9293 0.4171 0.8244
O5 0.9140 0.6341 0.4176
O6 0.8807 0.7959 0.1587
O7 0.8711 0.0073 0.7573
O8 0.8642 0.5716 0.0237
O9 0.8299 0.7303 0.8181
O10 0.8193 0.8221 0.5653
O11 0.7702 0.5261 0.2225
O12 0.7773 0.9522 0.9512
O13 0.7231 0.4453 0.5507
O14 0.7193 0.0223 0.2726
O15 0.6791 0.3239 0.9319
O16 0.6654 0.2284 0.6839
O17 0.6418 0.0800 0.4732
O18 0.6378 0.5080 0.7427
O19 0.6237 0.2924 0.3310
O20 0.5979 0.1388 0.0826
O21 0.5660 0.9182 0.6787
O22 0.5689 0.8278 0.1003
O23 0.5611 0.6167 0.3968
O24 0.5618 0.6254 0.9452
O25 0.4460 0.3743 0.0590
O26 0.4344 0.3937 0.6073
O27 0.4278 0.1745 0.8991
O28 0.4321 0.0712 0.3227
O29 0.4044 0.8624 0.9165
O30 0.3802 0.7037 0.6586
O31 0.3720 0.5016 0.2543
O32 0.3624 0.9264 0.5234
O33 0.3229 0.7724 0.3183
O34 0.3179 0.6776 0.0656
O35 0.2749 0.9741 0.7230
O36 0.2678 0.5513 0.4467
O37 0.2238 0.0532 0.0499
O38 0.2185 0.4776 0.7720
O39 0.1830 0.1686 0.4384
O40 0.1591 0.2764 0.1805
O41 0.1441 0.4224 0.9715
O42 0.1372 0.9959 0.2424
O43 0.1223 0.2035 0.8318
O44 0.1011 0.3589 0.5841
O45 0.0627 0.5788 0.1847
O46 0.0713 0.6759 0.6021
O47 0.0657 0.8909 0.8936
O48 0.0632 0.8768 0.4452
# Crystal system ... triclinic

Run c
# PBE with a Hubbard U Li3Cr4P6O24, relaxed
data_Li3Cr4P6O24
_cell_length_a 9.7292
_cell_length_b 9.8108
_cell_length_c 9.7969
_cell_angle_alpha 85.87
_cell_angle_beta 94.27
_cell_angle_gamma 94.53
_symmetry_space_group_name_H-M 'P 1'
_symmetry_Int_Tables_number 1
loop_
_symmetry_equiv_pos_as_xyz
'x,y,z'
loop_
_atom_site_label
_atom_site_fract_x
_atom_site_fract_y
_atom_site_fract_z
Li1 0.0259 0.5112 0.2515
Li2 0.3740 0.7505 0.8250
Li3 0.5125 0.0180 0.7560
Li4 0.5698 0.2254 0.5412
Li5 0.9148 0.6897 0.0213
Li6 0.9685 0.2494 0.3875
Cr1 0.0235 0.2528 0.7849
Cr2 0.2492 0.2498 0.9996
Cr3 0.2507 0.0261 0.2155
Cr4 0.4709 0.4664 0.0005
Cr5 0.5262 0.5325 0.5011
Cr6 0.7488 0.7491 0.4995
Cr7 0.7511 0.9646 0.2754
Cr8 0.9663 0.7514 0.7179
P1 0.0491 0.8201 0.4038
P2 0.1726 0.9530 0.9009
P3 0.1502 0.5501 0.9298
P4 0.3437 0.3238 0.7013
P5 0.3195 0.3393 0.2992
P6 0.4516 0.8451 0.4247
P7 0.5493 0.1523 0.0684
P8 0.6475 0.6813 0.7987
P9 0.6822 0.6478 0.2040
P10 0.8426 0.4501 0.5759
P11 0.8179 0.0496 0.5910
P12 0.9519 0.1738 0.1019
O1 0.0319 0.8811 0.8550
O2 0.0803 0.8136 0.5619
O3 0.0928 0.6168 0.7921
O4 0.1139 0.9563 0.3398
O5 0.0922 0.6942 0.3438
O6 0.1222 0.3871 0.9207
O7 0.0817 0.5913 0.0521
O8 0.1168 0.1614 0.1262
O9 0.1606 0.1146 0.8733
O10 0.1836 0.3098 0.6724
O11 0.1924 0.9176 0.0600
O12 0.1880 0.3913 0.3392
O13 0.2941 0.9151 0.8294
O14 0.3111 0.5839 0.9362
O15 0.3160 0.1787 0.3263
O16 0.3855 0.9037 0.2880
O17 0.3763 0.3316 0.8642
O18 0.3336 0.3757 0.1374
O19 0.4110 0.9074 0.5509
O20 0.3991 0.4642 0.6377
O21 0.4163 0.6872 0.4361
O22 0.4142 0.2046 0.6562
O23 0.3856 0.1214 0.0791
O24 0.4562 0.3935 0.3738
O25 0.5699 0.7997 0.8331
O26 0.5454 0.5882 0.1371
O27 0.5931 0.5413 0.8638
O28 0.6152 0.8757 0.4121
O29 0.6218 0.6674 0.6354
O30 0.5902 0.0949 0.9398
O31 0.5837 0.3103 0.0617
O32 0.6156 0.0888 0.2032
O33 0.6687 0.6183 0.3653
O34 0.6821 0.4130 0.5626
O35 0.6932 0.8065 0.1663
O36 0.6845 0.0928 0.6367
O37 0.8070 0.6971 0.8371
O38 0.8276 0.8880 0.6260
O39 0.8119 0.5917 0.1625
O40 0.8256 0.0808 0.4306
O41 0.8724 0.6120 0.5857
O42 0.8855 0.8295 0.3717
O43 0.8990 0.3861 0.7156
O44 0.9159 0.1979 0.9453
O45 0.9106 0.4075 0.4549
O46 0.8867 0.0308 0.1478
O47 0.9193 0.2865 0.1879
O48 0.9514 0.1192 0.6565
# Crystal system ... triclinic

Most stable one: run b, least stable one: run c.

Run a
# PBE with a Hubbard U Li7Mn5O12, relaxed
data_Li7Mn5O12
_cell_length_a 5.2402
_cell_length_b 6.0205
_cell_length_c 7.6778
_cell_angle_alpha 98.60
_cell_angle_beta 97.14
_cell_angle_gamma 109.90
_symmetry_space_group_name_H-M 'P 1'
_symmetry_Int_Tables_number 1
loop_
_symmetry_equiv_pos_as_xyz
'x,y,z'
loop_
_atom_site_label
_atom_site_fract_x
_atom_site_fract_y
_atom_site_fract_z
Li1 0.4997 0.7522 0.0041
Li2 0.5031 0.0768 0.3386
Li3 0.4930 0.4060 0.6588
Li4 0.5003 0.2478 0.9959
Li5 0.5070 0.5940 0.3412
Li6 0.4969 0.9232 0.6614
Li7 0.0000 0.0000 0.5000
Mn1 0.0040 0.8318 0.8304
Mn2 0.0000 0.5000 0.5000
Mn3 0.9960 0.1682 0.1696
Mn4 0.0017 0.3239 0.8270
Mn5 0.9983 0.6761 0.1730
O1 0.7846 0.5517 0.9246
O2 0.7717 0.8803 0.2389
O3 0.7654 0.2278 0.5882
O4 0.7644 0.0625 0.9201
O5 0.7639 0.4045 0.2640
O6 0.7901 0.6930 0.5894
O7 0.2356 0.9375 0.0799
O8 0.2099 0.3070 0.4106
O9 0.2361 0.5955 0.7360
O10 0.2154 0.4483 0.0754
O11 0.2346 0.7722 0.4118
O12 0.2283 0.1197 0.7611
# Crystal system ... triclinic

Run b
# PBE with a Hubbard U Li7Mn5O12, relaxed
data_Li7Mn5O12
_cell_length_a 2.9855
_cell_length_b 6.0233
_cell_length_c 12.5287
_cell_angle_alpha 76.54
_cell_angle_beta 90.00
_cell_angle_gamma 90.00
_symmetry_space_group_name_H-M 'P 1'
_symmetry_Int_Tables_number 1
loop_
_symmetry_equiv_pos_as_xyz
'x,y,z'
loop_
_atom_site_label
_atom_site_fract_x
_atom_site_fract_y
_atom_site_fract_z
Li1 0.0000 0.3194 0.3446
Li2 0.5000 0.1630 0.1668
Li3 0.0000 0.0000 0.0000
Li4 0.5000 0.8370 0.8332
Li5 0.0000 0.6806 0.6554
Li6 0.5000 0.5000 0.5000
Li7 0.5000 0.0000 0.5000
Mn1 0.0000 0.1604 0.6596
Mn2 0.0000 0.8396 0.3404
Mn3 0.5000 0.6738 0.1669
Mn4 0.0000 0.5000 0.0000
Mn5 0.5000 0.3262 0.8331
O1 0.0000 0.9078 0.1755
O2 0.5000 0.7422 0.0091
O3 0.0000 0.5735 0.8403
O4 0.5000 0.3851 0.6731
O5 0.0000 0.2488 0.5104
O6 0.5000 0.0524 0.3344
O7 0.0000 0.7512 0.4896
O8 0.5000 0.6149 0.3269
O9 0.0000 0.4265 0.1597
O10 0.5000 0.2578 0.9909
O11 0.0000 0.0922 0.8245
O12 0.5000 0.9476 0.6656
# Crystal system ... monoclinic

Run c
The following is a PBE with a Hubbard U calculation of crystalline Li7Mn5O12 at its relaxed geometry, from the Materials Project.

Structure (CIF):
```
data_Li7Mn5O12
_cell_length_a 6.0192
_cell_length_b 7.7747
_cell_length_c 10.1724
_cell_angle_alpha 106.93
_cell_angle_beta 91.28
_cell_angle_gamma 103.48
_symmetry_space_group_name_H-M 'P 1'
_symmetry_Int_Tables_number 1
loop_
_symmetry_equiv_pos_as_xyz
'x,y,z'
loop_
_atom_site_label
_atom_site_fract_x
_atom_site_fract_y
_atom_site_fract_z
Li1 0.5833 0.3335 0.2502
Li2 0.0834 0.3331 0.7497
Li3 0.0834 0.3334 0.2502
Li4 0.5832 0.3332 0.7498
Li5 0.8333 0.3333 0.0000
Li6 0.3333 0.3333 0.5000
Li7 0.4170 0.6634 0.2481
Li8 0.9170 0.6634 0.7478
Li9 0.7497 0.0033 0.2522
Li10 0.2497 0.0033 0.7519
Li11 0.9171 0.6598 0.2445
Li12 0.4171 0.6596 0.7441
Li13 0.2496 0.0070 0.2559
Li14 0.7496 0.0069 0.7555
Mn1 0.3333 0.3333 0.0000
Mn2 0.4941 0.0065 0.5042
Mn3 0.1725 0.6602 0.4958
Mn4 0.0007 0.0050 0.5016
Mn5 0.6660 0.6616 0.4984
Mn6 0.8333 0.3333 0.5000
Mn7 0.9941 0.0066 0.0042
Mn8 0.6726 0.6601 0.9958
Mn9 0.5007 0.0051 0.0016
Mn10 0.1660 0.6615 0.9984
O1 0.1480 0.4913 0.1073
O2 0.6479 0.4913 0.6074
O3 0.0187 0.1754 0.3926
O4 0.5187 0.1754 0.8927
O5 0.9472 0.8390 0.1187
O6 0.4475 0.8393 0.6189
O7 0.2189 0.8273 0.3811
O8 0.7195 0.8276 0.8813
O9 0.6119 0.5019 0.1122
O10 0.1119 0.5019 0.6122
O11 0.5548 0.1648 0.3878
O12 0.0547 0.1648 0.8878
O13 0.4562 0.8232 0.1067
O14 0.9560 0.8233 0.6068
O15 0.7108 0.8432 0.3931
O16 0.2104 0.8435 0.8933
O17 0.2781 0.1774 0.1213
O18 0.7787 0.1778 0.6214
O19 0.8882 0.4890 0.3786
O20 0.3886 0.4892 0.8787
O21 0.7824 0.1489 0.1122
O22 0.2820 0.1493 0.6124
O23 0.3844 0.5175 0.3876
O24 0.8843 0.5177 0.8878
```

Run d
# PBE with a Hubbard U Li7Mn5O12, relaxed
data_Li7Mn5O12
_cell_length_a 5.8357
_cell_length_b 14.6801
_cell_length_c 5.9686
_cell_angle_alpha 98.11
_cell_angle_beta 119.10
_cell_angle_gamma 84.08
_symmetry_space_group_name_H-M 'P 1'
_symmetry_Int_Tables_number 1
loop_
_symmetry_equiv_pos_as_xyz
'x,y,z'
loop_
_atom_site_label
_atom_site_fract_x
_atom_site_fract_y
_atom_site_fract_z
Li1 0.3330 0.1667 0.2495
Li2 0.3337 0.1666 0.7501
Li3 0.8333 0.6667 0.4999
Li4 0.8333 0.6667 0.0002
Li5 0.8333 0.1666 0.7500
Li6 0.8333 0.1667 0.2500
Li7 0.1575 0.3259 0.4788
Li8 0.1572 0.3258 0.9784
Li9 0.5092 0.0074 0.5211
Li10 0.5095 0.0075 0.0214
Li11 0.0067 0.5012 0.2527
Li12 0.0075 0.5010 0.7532
Li13 0.6600 0.8322 0.7476
Li14 0.6592 0.8323 0.2467
Mn1 0.3334 0.6667 0.4998
Mn2 0.3333 0.6667 0.0004
Mn3 0.9935 0.0075 0.5132
Mn4 0.9934 0.0074 0.0132
Mn5 0.6732 0.3258 0.4869
Mn6 0.6732 0.3259 0.9868
Mn7 0.4953 0.4972 0.7326
Mn8 0.4953 0.4968 0.2329
Mn9 0.1716 0.8362 0.2675
Mn10 0.1710 0.8366 0.7670
O1 0.1455 0.0737 0.3603
O2 0.1458 0.0736 0.8604
O3 0.5212 0.2597 0.6396
O4 0.5208 0.2597 0.1394
O5 0.9781 0.2567 0.6116
O6 0.9781 0.2568 0.1120
O7 0.6886 0.0766 0.3882
O8 0.6885 0.0765 0.8879
O9 0.8007 0.4073 0.8288
O10 0.8003 0.4075 0.3289
O11 0.8663 0.9258 0.6711
O12 0.8661 0.9259 0.1712
O13 0.6481 0.5832 0.6249
O14 0.6477 0.5828 0.1238
O15 0.0186 0.7501 0.3751
O16 0.0190 0.7505 0.8765
O17 0.4872 0.7518 0.3901
O18 0.4864 0.7518 0.8903
O19 0.1799 0.5815 0.1098
O20 0.1799 0.5816 0.6099
O21 0.3124 0.9175 0.6443
O22 0.3121 0.9177 0.1451
O23 0.3542 0.4158 0.3557
O24 0.3546 0.4156 0.8551
# Crystal system ... triclinic

Most stable one: run a, least stable one: run b.